1.
Material: CaSn2Rh
Method: DFT, PBE
State: relaxed

a = 4.372 Å, b = 5.892 Å, c = 7.634 Å
α = 90.00°, β = 90.00°, γ = 111.78°
Sites, in units of the cell vectors:
Rh1 0.789 0.578 0.750
Rh2 0.211 0.422 0.250
Sn1 0.355 0.710 0.547
Sn2 0.355 0.710 0.953
Sn3 0.645 0.290 0.453
Sn4 0.645 0.290 0.047
Ca1 0.066 0.133 0.750
Ca2 0.934 0.867 0.250

## Properties
Energy of formation (kJ per mole of atoms): -63
Space group: Cmcm (63)
E_tot (eV/atom): -5.005

2.
Material: CaTbRh2
Method: DFT, PBE
State: relaxed

a = 4.850 Å, b = 4.850 Å, c = 4.850 Å
α = 60.00°, β = 60.00°, γ = 60.00°
Sites, in units of the cell vectors:
Rh1 0.750 0.750 0.750
Rh2 0.250 0.250 0.250
Tb1 0.000 0.000 0.000
Ca1 0.500 0.500 0.500

## Properties
Energy of formation (kJ per mole of atoms): -59
Space group: Fm-3m (225)
E_tot (eV/atom): -5.949

3.
Material: CaThRh2
Method: DFT, PBE
State: relaxed

a = 4.951 Å, b = 4.951 Å, c = 4.951 Å
α = 60.00°, β = 60.00°, γ = 60.00°
Sites, in units of the cell vectors:
Th1 0.000 0.000 0.000
Rh1 0.250 0.250 0.250
Rh2 0.750 0.750 0.750
Ca1 0.500 0.500 0.500

## Properties
Energy of formation (kJ per mole of atoms): -62
Space group: Fm-3m (225)
E_tot (eV/atom): -6.683

4.
Material: CaTmRh2
Method: DFT, PBE
State: relaxed

a = 4.794 Å, b = 4.794 Å, c = 4.794 Å
α = 60.00°, β = 60.00°, γ = 60.00°
Sites, in units of the cell vectors:
Ca1 0.500 0.500 0.500
Tm1 0.000 0.000 0.000
Rh1 0.250 0.250 0.250
Rh2 0.750 0.750 0.750

## Properties
Energy of formation (kJ per mole of atoms): -63
Space group: Fm-3m (225)
E_tot (eV/atom): -5.959

5.
Material: CaYRh2
Method: DFT, PBE
State: relaxed

a = 4.854 Å, b = 4.854 Å, c = 4.854 Å
α = 60.00°, β = 60.00°, γ = 60.00°
Sites, in units of the cell vectors:
Y1 0.000 0.000 0.000
Ca1 0.500 0.500 0.500
Rh1 0.750 0.750 0.750
Rh2 0.250 0.250 0.250

## Properties
Energy of formation (kJ per mole of atoms): -58
Space group: Fm-3m (225)
E_tot (eV/atom): -6.400

6.
Material: CaZrRh2
Method: DFT, PBE
State: relaxed

a = 4.728 Å, b = 4.728 Å, c = 4.728 Å
α = 60.00°, β = 60.00°, γ = 60.00°
Sites, in units of the cell vectors:
Zr1 0.500 0.500 0.500
Rh1 0.750 0.750 0.750
Rh2 0.250 0.250 0.250
Ca1 0.000 0.000 0.000

## Properties
Energy of formation (kJ per mole of atoms): -55
Space group: Fm-3m (225)
E_tot (eV/atom): -6.890